NaTl2: optimized geometry, PBE.

The space group is Fd-3m (No. 227, origin choice 2) and the conventional cell measures 11.532, 11.532 and 11.532 Å, with angles of 90.00, 90.00 and 90.00 degrees. The asymmetric unit holds Na at (0.000, 0.000, 0.000) and Tl at (0.024, 0.024, 0.726).

The value obtained for the uncorrected energy is -1.999 eV/atom. The spin magnetization comes out at 0.000 μB/atom.